Record 1
# NaBC (r2SCAN, optimized geometry)
data_NaBC
_symmetry_space_group_name_H-M 'P 63/m m c'
_symmetry_Int_Tables_number 194
_symmetry_space_group_name_Hall '-P 6c 2c'
_cell_length_a 2.8066
_cell_length_b 2.8066
_cell_length_c 8.2999
_cell_angle_alpha 90.00
_cell_angle_beta 90.00
_cell_angle_gamma 120.00
loop_
_atom_site_label
_atom_site_fract_x
_atom_site_fract_y
_atom_site_fract_z
Na1 0.0000 0.0000 0.0000
B1 0.3333 0.6667 0.2500
C1 0.3333 0.6667 0.7500
# Calculated volume   56.6 Å³/cell

=====

Record 2
# Nb7B4C4 (r2SCAN, optimized geometry)
data_Nb7B4C4
_symmetry_space_group_name_H-M 'I m m m'
_symmetry_Int_Tables_number 71
_symmetry_space_group_name_Hall '-I 2 2'
_cell_length_a 3.161
_cell_length_b 3.241
_cell_length_c 32.459
_cell_angle_alpha 90.00
_cell_angle_beta 90.00
_cell_angle_gamma 90.00
loop_
_atom_site_label
_atom_site_fract_x
_atom_site_fract_y
_atom_site_fract_z
Nb1 0.000 0.000 0.000
Nb2 0.000 0.500 0.147
Nb3 0.000 0.500 0.286
Nb4 0.000 0.500 0.418
B1 0.000 0.000 0.472
B2 0.000 0.500 0.057
C1 0.000 0.500 0.215
C2 0.000 0.500 0.353
# Calculated volume   332.6 Å³/cell

=====

Record 3
# NdNi2B2C (r2SCAN, optimized geometry)
data_NdNi2B2C
_symmetry_space_group_name_H-M 'I 4/m m m'
_symmetry_Int_Tables_number 139
_symmetry_space_group_name_Hall '-I 4 2'
_cell_length_a 3.681
_cell_length_b 3.681
_cell_length_c 9.972
_cell_angle_alpha 90.00
_cell_angle_beta 90.00
_cell_angle_gamma 90.00
loop_
_atom_site_label
_atom_site_fract_x
_atom_site_fract_y
_atom_site_fract_z
Nd1 0.000 0.000 0.000
Ni1 0.000 0.500 0.250
B1 0.000 0.000 0.350
C1 0.000 0.000 0.500
# Calculated volume   135.1 Å³/cell

=====

Record 4
# NdB2Rh2C (r2SCAN, optimized geometry)
data_NdB2Rh2C
_symmetry_space_group_name_H-M 'I 4/m m m'
_symmetry_Int_Tables_number 139
_symmetry_space_group_name_Hall '-I 4 2'
_cell_length_a 3.849
_cell_length_b 3.849
_cell_length_c 10.267
_cell_angle_alpha 90.00
_cell_angle_beta 90.00
_cell_angle_gamma 90.00
loop_
_atom_site_label
_atom_site_fract_x
_atom_site_fract_y
_atom_site_fract_z
Nd1 0.000 0.000 0.000
B1 0.000 0.000 0.354
Rh1 0.000 0.500 0.250
C1 0.000 0.000 0.500
# Calculated volume   152.1 Å³/cell

=====

ΔH_f (0 K) in meV/atom, matching the order above: -129, -685, -495, -665
Final energy in eV per atom, matching the order above: -7.081, -16.839, -13.498, -17.720